# 1
Below is V4O5F7 after structural relaxation, with properties calculated at the GGA+U level.

Cell: 5.248 5.385 7.484 Å, 91.91 90.04 91.08°
Space group P1 (No. 1)
Symmetry-distinct sites (fractional):
1 V 0.000 0.000 0.000
2 V 0.063 0.062 0.498
3 V 0.485 0.508 0.990
4 V 0.553 0.570 0.512
5 O 0.246 0.315 0.039
6 O 0.313 0.250 0.467
7 O 0.451 0.539 0.767
8 O 0.746 0.818 0.541
9 O 0.814 0.750 0.974
10 F 0.127 0.017 0.755
11 F 0.237 0.744 0.454
12 F 0.318 0.818 0.057
13 F 0.606 0.526 0.250
14 F 0.741 0.254 0.955
15 F 0.815 0.320 0.558
16 F 0.927 0.054 0.254

Output
magnetization	3.0	μB/f.u.
formation energy	-2.739	eV/atom
final energy	-6.552	eV/atom
total energy after the MP2020 corrections	-118.3	eV per cell

***

# 2
Below is KCaPrWO6 after structural relaxation, with properties calculated at the GGA+U level.

Cell: 8.445 8.458 8.507 Å, 90.00 90.00 90.00°
Space group Pnnn (No. 48, origin choice 2)
Symmetry-distinct sites (fractional):
1 K 0.250 0.250 0.250
2 K 0.250 0.750 0.750
3 Ca 0.250 0.250 0.750
4 Ca 0.250 0.750 0.250
5 Pr 0.000 0.000 0.000
6 W 0.000 0.000 0.500
7 O 0.034 0.049 0.727
8 O 0.035 0.725 0.977
9 O 0.226 0.026 0.465

Output
magnetization	0.0	μB/f.u.
formation energy	-2.801	eV/atom
final energy	-6.999	eV/atom
total energy after the MP2020 corrections	-314.2	eV per cell

***

# 3
Below is CaNdV4O12 after structural relaxation, with properties calculated at the GGA+U level.

Cell: 7.531 7.489 7.549 Å, 90.00 90.00 90.00°
Space group Amm2 (No. 38)
Symmetry-distinct sites (fractional):
1 Ca 0.000 0.000 0.000
2 Nd 0.500 0.000 0.523
3 V 0.246 0.248 0.263
4 O 0.000 0.219 0.257
5 O 0.224 0.000 0.733
6 O 0.249 0.224 0.007
7 O 0.281 0.000 0.290
8 O 0.500 0.223 0.753

Output
magnetization	1.0	μB/f.u.
formation energy	-2.634	eV/atom
final energy	-7.492	eV/atom
total energy after the MP2020 corrections	-299.8	eV per cell

***

# 4
Below is TbFe3B4O12 after structural relaxation, with properties calculated at the GGA+U level.

Cell: 9.6208 9.6208 7.6617 Å, 90.00 90.00 120.00°
Space group P3_121 (No. 152)
Symmetry-distinct sites (fractional):
1 Tb 0.0000 0.3351 0.1667
2 Fe 0.0000 0.8849 0.1667
3 Fe 0.2125 0.6634 0.4885
4 B 0.0000 0.3318 0.6667
5 B 0.0000 0.7779 0.6667
6 B 0.1243 0.6763 0.9855
7 O 0.0000 0.1881 0.6667
8 O 0.0000 0.9216 0.6667
9 O 0.0088 0.5343 0.3517
10 O 0.1221 0.8172 0.0113
11 O 0.1447 0.4746 0.6577
12 O 0.1472 0.7853 0.6482
13 O 0.2755 0.6945 0.9613

Output
magnetization	15.0	μB/f.u.
formation energy	-2.580	eV/atom
final energy	-7.636	eV/atom
total energy after the MP2020 corrections	-503.2	eV per cell

***

# 5
Below is Na4NiH38W6O40 after structural relaxation, with properties calculated at the GGA+U level.

Cell: 8.022 10.621 12.416 Å, 70.17 71.58 84.49°
Space group P-1 (No. 2)
Symmetry-distinct sites (fractional):
1 Na 0.107 0.373 0.191
2 Na 0.280 0.365 0.419
3 Ni 0.500 0.000 0.000
4 H 0.009 0.076 0.261
5 H 0.065 0.511 0.621
6 H 0.066 0.285 0.676
7 H 0.081 0.667 0.553
8 H 0.091 0.110 0.350
9 H 0.145 0.100 0.557
10 H 0.152 0.292 0.971
11 H 0.171 0.061 0.976
12 H 0.191 0.440 0.961
13 H 0.246 0.678 0.842
14 H 0.261 0.311 0.660
15 H 0.276 0.545 0.806
16 H 0.289 0.042 0.206
17 H 0.296 0.085 0.445
18 H 0.345 0.698 0.654
19 H 0.384 0.797 0.525
20 H 0.416 0.254 0.228
21 H 0.443 0.265 0.950
22 H 0.481 0.399 0.160
23 W 0.198 0.774 0.048
24 W 0.349 0.765 0.277
25 W 0.363 0.000 0.768
26 O 0.003 0.597 0.620
27 O 0.021 0.187 0.965
28 O 0.104 0.127 0.264
29 O 0.151 0.786 0.208
30 O 0.158 0.021 0.737
31 O 0.164 0.348 0.626
32 O 0.182 0.129 0.469
33 O 0.191 0.615 0.819
34 O 0.206 0.598 0.078
35 O 0.221 0.786 0.415
36 O 0.234 0.348 0.984
37 O 0.266 0.994 0.962
38 O 0.333 0.809 0.875
39 O 0.380 0.589 0.314
40 O 0.381 0.347 0.221
41 O 0.393 0.988 0.177
42 O 0.412 0.190 0.733
43 O 0.440 0.731 0.579
44 O 0.457 0.793 0.073
45 O 0.489 0.030 0.360

Output
magnetization	2.0	μB/f.u.
formation energy	-1.556	eV/atom
final energy	-5.590	eV/atom
total energy after the MP2020 corrections	-554.2	eV per cell

***

# 6
Below is BaSr7Fe8O20 after structural relaxation, with properties calculated at the GGA+U level.

Cell: 11.249 11.582 17.710 Å, 70.97 71.65 89.97°
Space group P1 (No. 1)
Symmetry-distinct sites (fractional):
1 Ba 0.000 0.000 0.000
2 Ba 0.000 0.500 0.000
3 Ba 0.500 0.000 0.000
4 Ba 0.749 0.261 0.001
5 Sr 0.139 0.135 0.224
6 Sr 0.140 0.137 0.720
7 Sr 0.140 0.634 0.224
8 Sr 0.141 0.637 0.720
9 Sr 0.247 0.761 0.007
10 Sr 0.248 0.263 0.505
11 Sr 0.248 0.763 0.505
12 Sr 0.249 0.263 0.006
13 Sr 0.388 0.404 0.224
14 Sr 0.388 0.903 0.224
15 Sr 0.389 0.904 0.722
16 Sr 0.390 0.404 0.722
17 Sr 0.498 0.493 0.506
18 Sr 0.498 0.496 0.006
19 Sr 0.498 0.994 0.506
20 Sr 0.638 0.135 0.224
21 Sr 0.638 0.634 0.224
22 Sr 0.640 0.636 0.721
23 Sr 0.641 0.136 0.720
24 Sr 0.747 0.760 0.007
25 Sr 0.748 0.263 0.505
26 Sr 0.748 0.763 0.506
27 Sr 0.890 0.404 0.224
28 Sr 0.890 0.406 0.721
29 Sr 0.890 0.903 0.224
30 Sr 0.890 0.904 0.722
31 Sr 0.998 0.494 0.505
32 Sr 0.998 0.994 0.505
33 Fe 0.049 0.788 0.365
34 Fe 0.050 0.288 0.365
35 Fe 0.052 0.791 0.862
36 Fe 0.057 0.292 0.860
37 Fe 0.193 0.946 0.119
38 Fe 0.195 0.448 0.117
39 Fe 0.196 0.949 0.614
40 Fe 0.197 0.449 0.614
41 Fe 0.299 0.109 0.365
42 Fe 0.300 0.609 0.364
43 Fe 0.304 0.110 0.861
44 Fe 0.305 0.611 0.862
45 Fe 0.442 0.197 0.119
46 Fe 0.445 0.697 0.116
47 Fe 0.446 0.199 0.614
48 Fe 0.447 0.699 0.614
49 Fe 0.549 0.288 0.365
50 Fe 0.549 0.787 0.365
51 Fe 0.550 0.294 0.862
52 Fe 0.550 0.787 0.864
53 Fe 0.691 0.944 0.122
54 Fe 0.692 0.448 0.118
55 Fe 0.696 0.449 0.614
56 Fe 0.696 0.949 0.614
57 Fe 0.798 0.612 0.863
58 Fe 0.799 0.109 0.365
59 Fe 0.799 0.609 0.365
60 Fe 0.804 0.109 0.859
61 Fe 0.944 0.196 0.120
62 Fe 0.944 0.697 0.118
63 Fe 0.946 0.199 0.614
64 Fe 0.946 0.699 0.614
65 O 0.024 0.295 0.474
66 O 0.024 0.783 0.974
67 O 0.024 0.795 0.474
68 O 0.026 0.285 0.973
69 O 0.065 0.819 0.125
70 O 0.067 0.319 0.125
71 O 0.067 0.322 0.622
72 O 0.067 0.821 0.622
73 O 0.074 0.076 0.110
74 O 0.075 0.577 0.110
75 O 0.075 0.578 0.604
76 O 0.076 0.078 0.604
77 O 0.129 0.140 0.365
78 O 0.129 0.640 0.365
79 O 0.133 0.903 0.256
80 O 0.133 0.909 0.753
81 O 0.134 0.404 0.255
82 O 0.137 0.411 0.752
83 O 0.141 0.651 0.854
84 O 0.142 0.150 0.853
85 O 0.268 0.993 0.972
86 O 0.274 0.493 0.474
87 O 0.274 0.993 0.474
88 O 0.275 0.495 0.972
89 O 0.313 0.816 0.125
90 O 0.315 0.319 0.124
91 O 0.317 0.319 0.622
92 O 0.317 0.819 0.622
93 O 0.320 0.080 0.110
94 O 0.324 0.578 0.107
95 O 0.325 0.080 0.605
96 O 0.326 0.580 0.604
97 O 0.379 0.257 0.365
98 O 0.379 0.757 0.365
99 O 0.380 0.759 0.864
100 O 0.381 0.103 0.256
101 O 0.381 0.257 0.864
102 O 0.382 0.602 0.255
103 O 0.388 0.102 0.752
104 O 0.388 0.603 0.753
105 O 0.517 0.295 0.973
106 O 0.523 0.784 0.975
107 O 0.524 0.295 0.474
108 O 0.524 0.795 0.474
109 O 0.562 0.321 0.126
110 O 0.566 0.818 0.125
111 O 0.567 0.321 0.622
112 O 0.567 0.821 0.622
113 O 0.570 0.073 0.113
114 O 0.573 0.576 0.108
115 O 0.576 0.077 0.604
116 O 0.576 0.578 0.604
117 O 0.628 0.639 0.862
118 O 0.629 0.140 0.365
119 O 0.629 0.640 0.365
120 O 0.632 0.404 0.256
121 O 0.632 0.903 0.256
122 O 0.633 0.409 0.752
123 O 0.634 0.905 0.755
124 O 0.640 0.154 0.855
125 O 0.765 0.502 0.975
126 O 0.769 0.995 0.971
127 O 0.774 0.493 0.474
128 O 0.774 0.993 0.474
129 O 0.813 0.816 0.125
130 O 0.814 0.317 0.127
131 O 0.817 0.319 0.622
132 O 0.817 0.819 0.622
133 O 0.820 0.579 0.110
134 O 0.821 0.075 0.113
135 O 0.825 0.080 0.605
136 O 0.826 0.580 0.605
137 O 0.879 0.258 0.364
138 O 0.879 0.757 0.365
139 O 0.880 0.759 0.863
140 O 0.883 0.602 0.256
141 O 0.883 0.603 0.755
142 O 0.884 0.102 0.256
143 O 0.886 0.100 0.751
144 O 0.893 0.255 0.855

Output
magnetization	39.9	μB/f.u.
formation energy	-2.355	eV/atom
final energy	-6.485	eV/atom
total energy after the MP2020 corrections	-1061.0	eV per cell

***

Question: total energy after the MP2020 corrections of number 4 (TbFe3B4O12)?
Answer: -503.2 eV per cell

***

Question: Look up the final energy of the first one.
Answer: -6.552 eV/atom

***

Question: final energy of number 3 (CaNdV4O12)?
Answer: -7.492 eV/atom